No. 1
# Rb4Ti2P6Se25

A relaxed Rb4Ti2P6Se25 crystal (PBE-GGA, the Materials Project).

```
Rb4Ti2P6Se25
1.0
13.3005 -21.1519 9.0388
-4.5768 -15.8212 10.4618
14.9075 -9.3227 -6.3947
Rb Ti P Se
8 4 12 50
Direct
0.2131 0.9341 0.9332
0.7423 0.9686 0.3714
0.3159 0.0369 0.3305
0.3168 0.3305 0.0369
0.8786 0.3323 0.5077
0.9195 0.9332 0.9341
0.9177 0.3714 0.9686
0.2814 0.5077 0.3323
0.3454 0.2178 0.4068
0.0322 0.9046 0.2200
0.8432 0.2200 0.9046
0.0300 0.4068 0.2178
0.2288 0.3409 0.3422
0.0881 0.3422 0.3409
0.7369 0.4753 0.9283
0.9091 0.0212 0.1619
0.7747 0.5131 0.3906
0.3217 0.3906 0.5131
0.8594 0.9283 0.4753
0.8564 0.0677 0.7921
0.9078 0.1619 0.0212
0.4579 0.9663 0.3936
0.2837 0.7921 0.0677
0.1823 0.3936 0.9663
0.5829 0.5584 0.1578
0.3579 0.1421 0.1421
0.7569 0.0215 0.6892
0.7515 0.4271 0.4399
0.1008 0.8903 0.6223
0.2437 0.1386 0.1112
0.9211 0.4409 0.5743
0.1883 0.2841 0.6500
0.1114 0.0063 0.7434
0.8229 0.4985 0.8684
0.1388 0.7434 0.0063
0.4480 0.5968 0.0161
0.2339 0.3109 0.8020
0.0741 0.2724 0.0833
0.1079 0.8921 0.8921
0.6000 0.3724 0.0617
0.2285 0.4931 0.7176
0.0636 0.5743 0.4409
0.6916 0.6671 0.5491
0.5324 0.6892 0.0215
0.6734 0.3303 0.1755
0.8101 0.8684 0.4985
0.4553 0.9320 0.5829
0.6532 0.8020 0.3109
0.7009 0.1578 0.5584
0.2554 0.4315 0.9073
0.3427 0.8443 0.9946
0.5066 0.1112 0.1386
0.3180 0.7947 0.2202
0.0298 0.5829 0.9320
0.6757 0.1864 0.3289
0.8776 0.6500 0.2841
0.0922 0.5491 0.6671
0.0745 0.4292 0.5766
0.6671 0.2202 0.7947
0.8185 0.9946 0.8443
0.9391 0.0161 0.5968
0.9776 0.1759 0.6798
0.3597 0.1492 0.8633
0.9197 0.5766 0.4292
0.8208 0.1755 0.3303
0.5608 0.7176 0.4931
0.6277 0.8633 0.1492
0.3867 0.6223 0.8903
0.5702 0.0833 0.2724
0.9659 0.0617 0.3724
0.3816 0.4399 0.4271
0.4057 0.9073 0.4315
0.1667 0.6798 0.1759
0.8091 0.3289 0.1864
```



No. 2
# RbZn4P3

A relaxed RbZn4P3 crystal (PBE-GGA, the Materials Project).

```
RbZn4P3
1.0
4.0809 0.0000 0.0000
0.0000 4.0809 0.0000
0.0000 0.0000 10.2331
Rb Zn P
1 4 3
Direct
0.0000 0.0000 0.5000
0.0000 0.5000 0.1561
0.0000 0.5000 0.8439
0.5000 0.0000 0.8439
0.5000 0.0000 0.1561
0.0000 0.0000 0.0000
0.5000 0.5000 0.2839
0.5000 0.5000 0.7161
```



No. 3
# Re3P4

A relaxed Re3P4 crystal (PBE-GGA, the Materials Project).

```
Re3P4
1.0
1.5732 -3.1864 5.2287
2.9800 -0.5204 5.5512
-3.5594 1.3027 4.7583
Re P
3 4
Direct
0.7363 0.7363 0.3187
0.2637 0.2637 0.6813
0.0000 0.0000 0.0000
0.9149 0.9149 0.4359
0.0851 0.0851 0.5641
0.6491 0.6491 0.0245
0.3509 0.3509 0.9755
```



No. 4
# ReP4

A relaxed ReP4 crystal (PBE-GGA, the Materials Project).

```
ReP4
1.0
-3.4110 2.4797 -4.6391
-7.5525 -0.2695 5.4091
2.2830 10.0400 3.6879
Re P
8 32
Direct
0.6219 0.1096 0.4245
0.1219 0.3904 0.5755
0.3781 0.6096 0.0755
0.8781 0.8904 0.9245
0.3781 0.8904 0.5755
0.8781 0.6096 0.4245
0.6219 0.3904 0.9245
0.1219 0.1096 0.0755
0.9985 0.2093 0.4308
0.4985 0.2907 0.5692
0.0015 0.7093 0.0692
0.5015 0.7907 0.9308
0.0015 0.7907 0.5692
0.5015 0.7093 0.4308
0.9985 0.2907 0.9308
0.4985 0.2093 0.0692
0.0618 0.2824 0.2360
0.5618 0.2176 0.7640
0.9382 0.7824 0.2640
0.4382 0.7176 0.7360
0.9382 0.7176 0.7640
0.4382 0.7824 0.2360
0.0618 0.2176 0.7360
0.5618 0.2824 0.2640
0.1883 0.9476 0.2382
0.6883 0.5524 0.7618
0.8117 0.4476 0.2618
0.3117 0.0524 0.7382
0.8117 0.0524 0.7618
0.3117 0.4476 0.2382
0.1883 0.5524 0.7382
0.6883 0.9476 0.2618
0.7549 0.0438 0.0815
0.2549 0.4562 0.9185
0.2451 0.5438 0.4185
0.7451 0.9562 0.5815
0.2451 0.9562 0.9185
0.7451 0.5438 0.0815
0.7549 0.4562 0.5815
0.2549 0.0438 0.4185
```



no.,raw total energy (eV/atom),formation energy (eV per atom)
1,-4.272,-0.818
2,-3.083,-0.300
3,-8.808,-0.381
4,-7.141,-0.321